# 1
A relaxed Mg3P2O12 crystal. Source: the Materials Project database, functional PBE.

```
68
Lattice="4.306 -8.730 0.000 4.306 8.730 0.000 0.000 0.000 13.254" Properties=species:S:1:pos:R:3 pbc="T T T"
O 7.356 1.401 4.470
O 6.542 -3.939 5.010
O 4.306 3.091 6.537
O 1.262 -0.918 6.228
O 6.297 0.874 9.838
O 6.353 4.403 7.777
O 7.356 -1.401 11.097
O 4.306 -5.685 0.140
Mg 4.306 -4.332 1.712
O 2.070 -3.939 5.010
O 4.306 7.686 8.897
P 4.306 -6.942 3.678
Mg 4.306 4.332 8.339
O 4.306 -7.650 7.991
O 4.306 1.116 12.029
O 2.070 3.939 11.637
O 1.256 -1.401 11.097
O 6.297 -0.874 3.211
O 6.542 3.939 11.637
O 5.566 1.548 2.019
O 5.565 -0.919 0.294
Mg 6.868 -0.131 8.087
Mg 5.996 0.076 5.067
O 7.350 -0.918 6.228
P 4.306 -1.865 9.458
O 1.256 1.401 4.470
O 4.306 -1.116 5.402
O 4.306 1.054 4.202
O 2.315 0.874 9.838
O 2.259 4.403 7.777
O 2.315 -0.874 3.211
P 4.306 6.993 5.904
Mg 6.868 0.131 1.460
O 4.306 -3.091 13.164
O 3.047 0.919 6.921
O 4.306 -2.171 2.171
Mg 1.744 0.131 1.460
O 4.306 -7.686 2.270
O 4.306 2.171 8.798
P 4.306 1.865 2.831
O 4.306 5.685 6.767
O 7.350 0.918 12.855
Mg 1.744 -0.131 8.087
O 2.259 -4.403 1.150
O 6.353 -4.403 1.150
O 5.565 0.919 6.921
Mg 2.616 -0.076 11.694
O 3.046 -1.548 8.646
O 3.046 1.548 2.019
O 4.306 6.472 4.438
O 3.047 -0.919 0.294
O 4.306 -5.449 3.335
O 4.306 -3.335 9.915
Mg 4.306 4.386 4.961
O 4.306 3.335 3.288
P 4.306 -6.993 12.531
O 4.306 -6.472 11.065
O 1.262 0.918 12.855
P 4.306 6.942 10.305
O 5.566 -1.548 8.646
O 4.306 7.650 1.364
O 4.306 5.449 9.962
P 4.306 -1.725 0.668
Mg 4.306 -4.386 11.588
Mg 2.616 0.076 5.067
P 4.306 1.725 7.295
O 4.306 -1.054 10.829
Mg 5.996 -0.076 11.694
```

Output
Energy of formation (kJ/mol of formula units): -3039.7
Total magnetization (μB per cell): 31.998

# 2
A relaxed NdAgPb crystal. Source: the Materials Project database, functional PBE.

```
6
Lattice="-3.024 1.929 -3.419 4.843 -0.400 -0.970 -1.347 -7.310 -3.105" Properties=species:S:1:pos:R:3 pbc="T T T"
Ag -1.737 -6.090 -5.679
Nd -4.073 -3.790 -5.846
Pb -1.194 -3.019 -4.384
Ag 2.209 0.309 -1.815
Nd 4.544 -1.991 -1.648
Pb 1.665 -2.762 -3.110
```

Output
Energy of formation (kJ/mol of formula units): -68.6
Total magnetization (μB per cell): 0.006

# 3
A relaxed LaMg14Mn crystal. Source: the Materials Project database, functional PBE.

```
16
Lattice="6.545 0.000 0.000 -3.273 5.668 0.000 0.000 0.000 10.277" Properties=species:S:1:pos:R:3 pbc="T T T"
Mg -1.648 4.717 1.285
Mg 3.273 1.813 6.423
Mg 3.273 3.779 8.926
Mg 0.000 3.777 9.124
Mg 1.570 4.762 6.423
Mg 3.273 3.779 3.920
Mg 4.911 0.946 9.124
Mg 1.648 4.717 1.285
Mg 0.000 3.777 3.722
Mn 0.000 1.889 1.285
La 0.000 1.889 6.423
Mg 1.635 0.946 9.124
Mg 4.911 0.946 3.722
Mg 1.635 0.946 3.722
Mg -1.570 4.762 6.423
Mg 3.273 1.903 1.285
```

Output
Energy of formation (kJ/mol of formula units): 122.1
Total magnetization (μB per cell): 4.758
Distance to the lowest polymorph of the same formula (meV per atom): 10

# 4
A relaxed Ho3CuSiS7 crystal. Source: the Materials Project database, functional PBE.

```
24
Lattice="4.925 -8.530 0.000 4.925 8.530 0.000 0.000 0.000 5.704" Properties=species:S:1:pos:R:3 pbc="T T T"
Ho 6.972 1.112 4.235
Cu 0.000 0.000 3.949
Si 4.925 -2.843 4.741
S 6.755 3.561 2.748
S 6.461 -4.069 5.600
S 5.252 6.319 1.206
S 5.218 -0.899 5.600
Ho 2.878 -1.112 1.383
S 8.098 -1.388 4.058
S 3.095 -3.561 5.600
S 4.925 -2.843 2.626
Ho 4.449 -5.482 1.383
Ho 2.402 1.936 4.235
Ho 7.448 -1.936 1.383
S 4.631 0.899 2.748
Si 4.925 2.843 1.889
Ho 5.400 5.482 4.235
S 1.751 1.388 1.206
S 3.388 4.069 2.748
Cu 0.000 0.000 1.097
S 7.771 0.822 1.206
S 2.078 -0.822 4.058
S 4.925 2.843 5.478
S 4.598 -6.319 4.058
```

Output
Energy of formation (kJ/mol of formula units): -2088.7
Total magnetization (μB per cell): 0.000
Piezoelectric modulus e_max (C/m2): 1.67

# 5
A relaxed Y14Ge4O29F5 crystal. Source: the Materials Project database, functional PBE.

```
52
Lattice="-5.638 0.007 0.001 -1.930 -10.843 0.004 -0.001 -0.004 12.227" Properties=species:S:1:pos:R:3 pbc="T T T"
O -3.383 -10.817 2.241
F -3.799 -3.255 10.129
O -4.833 -9.385 4.429
O -4.834 -9.389 7.813
O -6.483 -6.875 10.539
Ge -2.821 -0.006 3.415
Y -6.526 -8.947 6.113
O -2.325 -5.437 3.888
F -3.781 -7.590 2.126
Y -1.925 -8.982 10.464
O -6.460 -6.879 1.707
Y -5.659 -1.864 10.434
Y -1.051 -1.894 6.142
Ge -0.966 -5.422 2.700
Y -3.801 -7.275 7.890
Y -4.856 -7.318 0.010
O -2.369 -7.195 6.116
Y -5.650 -1.859 1.778
O -2.699 -1.453 7.801
O -3.833 -3.278 2.043
Y -2.705 -3.531 0.039
O -3.437 -5.609 12.223
Y -6.591 -5.408 6.134
O -5.243 -5.404 8.343
O -6.189 -9.130 12.225
O -2.398 -3.684 6.111
O -5.176 -3.627 6.121
O -4.185 -0.037 9.997
F -5.327 -0.162 6.100
O -1.997 -8.704 8.190
Y -4.722 -10.822 0.035
O -1.363 -1.719 12.225
O -5.598 -2.168 8.202
O -1.994 -8.704 4.045
F -3.783 -7.580 10.118
F -5.623 -2.170 4.011
O -1.065 -3.963 10.532
O -5.161 -7.159 6.114
Ge -0.965 -5.421 9.528
O -3.385 -10.827 9.995
O -2.327 -5.446 8.342
O -2.690 -1.451 4.429
O -4.177 -0.005 2.228
O -5.237 -5.379 3.885
Ge -2.820 -0.003 8.818
Y -1.921 -8.983 1.775
Y -3.800 -7.280 4.343
Y -3.772 -3.556 7.887
O -1.061 -3.963 1.694
Y -3.755 -3.549 4.311
O -3.325 -9.049 12.230
O -4.235 -1.782 0.022
```

Output
Energy of formation (kJ/mol of formula units): -17033.8
Total magnetization (μB per cell): 5.002

# 6
A relaxed KMgNbO3 crystal. Source: the Materials Project database, functional PBE.

```
6
Lattice="5.085 -0.540 -0.540 -0.543 5.079 0.542 -0.543 0.542 5.079" Properties=species:S:1:pos:R:3 pbc="T T T"
O 4.152 2.664 2.664
Nb 2.584 1.944 1.944
O 1.852 2.677 0.388
K 5.057 -0.533 -0.533
O 1.852 0.388 2.677
Mg 0.938 3.590 3.590
```

Output
Energy of formation (kJ/mol of formula units): -1335.9
Total magnetization (μB per cell): 0.000
Distance to the lowest polymorph of the same formula (meV per atom): 0

# 7
A relaxed Cs2MoCl6 crystal. Source: the Materials Project database, functional PBE.

```
9
Lattice="0.000 5.305 5.305 5.305 0.000 5.305 5.305 5.305 0.000" Properties=species:S:1:pos:R:3 pbc="T T T"
Cl 5.305 5.305 2.404
Cl 8.207 5.305 5.305
Cl 5.305 8.207 5.305
Mo 0.000 0.000 0.000
Cs 2.653 2.653 2.653
Cs 7.958 7.958 7.958
Cl 5.305 5.305 8.207
Cl 5.305 2.404 5.305
Cl 2.404 5.305 5.305
```

Output
Energy of formation (kJ/mol of formula units): -1608.5

# 8
A relaxed NdFeRu crystal. Source: the Materials Project database, functional PBE.

```
6
Lattice="-3.731 -0.107 -3.826 3.731 -3.826 -0.107 -3.731 -3.826 -0.107" Properties=species:S:1:pos:R:3 pbc="T T T"
Ru 0.933 -4.809 -1.091
Fe -4.664 -4.863 -3.004
Nd 3.716 -3.826 -0.107
Nd -1.850 -5.792 -2.074
Ru -2.799 -2.950 -2.950
Fe -0.933 -2.896 -1.037
```

Output
Energy of formation (kJ/mol of formula units): -21.9
Total magnetization (μB per cell): 5.222

# 9
A relaxed Ca5Rh crystal. Source: the Materials Project database, functional PBE.

```
24
Lattice="-0.746 -2.639 6.217 7.280 -2.033 0.010 3.962 14.221 6.513" Properties=species:S:1:pos:R:3 pbc="T T T"
Rh 2.488 1.609 4.967
Ca 3.391 11.225 7.570
Ca 3.697 4.608 5.043
Ca 8.942 6.593 10.146
Ca 2.238 -0.628 2.645
Ca 3.001 5.398 9.008
Ca 4.460 10.635 11.406
Ca 5.443 8.110 8.962
Ca 6.314 7.632 5.313
Rh 4.686 10.083 5.115
Ca 1.554 2.956 2.594
Ca 7.494 4.151 3.732
Ca 6.036 -1.086 1.333
Ca 5.052 1.439 3.778
Ca 7.105 -1.676 5.170
Ca 3.356 -1.045 6.070
Ca 2.566 8.264 6.214
Rh 8.007 7.940 7.773
Ca 6.799 4.941 7.697
Ca 7.139 10.594 6.670
Rh 5.810 -0.534 7.625
Ca 8.257 10.177 10.095
Ca 4.181 1.917 7.427
Ca 7.930 1.285 6.526
```

Output
Energy of formation (kJ/mol of formula units): -132.9

# 10
A relaxed In10Sb9Te crystal. Source: the Materials Project database, functional PBE.

```
20
Lattice="7.474 0.000 0.000 -2.546 8.318 0.000 -1.162 -2.458 9.384" Properties=species:S:1:pos:R:3 pbc="T T T"
In 3.098 2.078 0.000
In -1.877 7.414 1.851
In 3.091 4.402 3.745
Sb 5.601 0.574 0.975
Sb -1.834 5.286 8.410
Sb 4.337 4.755 0.970
Sb -0.570 1.105 8.414
Te -0.581 -1.229 4.692
Sb -1.854 2.930 4.692
Sb 0.605 5.920 2.831
In -0.633 3.257 1.874
In 4.377 0.280 3.749
Sb 3.162 -0.060 6.554
Sb 1.840 1.731 2.815
In 4.400 2.603 7.510
In 0.676 1.458 5.639
In -0.611 5.580 5.635
In 0.669 3.782 9.384
Sb 1.927 4.129 6.570
In 5.644 -1.554 7.534
```

Output
Energy of formation (kJ/mol of formula units): -36.6
Total magnetization (μB per cell): 0.001

# 11
A relaxed Ag2Rh15S15 crystal. Source: the Materials Project database, functional PBE.

```
64
Lattice="10.165 0.000 0.000 0.000 10.165 0.000 0.000 0.000 10.165" Properties=species:S:1:pos:R:3 pbc="T T T"
Rh 6.527 8.753 3.638
S 7.839 2.327 0.000
Rh 8.753 6.527 6.527
S 2.327 0.000 2.327
Rh 0.000 2.104 0.000
S 2.327 7.839 0.000
Ag 0.000 0.000 5.083
S 7.839 7.839 0.000
S 8.355 5.083 1.810
S 0.000 7.839 2.327
S 5.083 1.810 1.810
S 1.810 5.083 8.355
S 5.083 1.810 8.355
Rh 6.527 1.413 3.638
Rh 3.638 8.753 6.527
Rh 6.527 3.638 1.413
S 5.083 8.355 8.355
Rh 2.104 0.000 0.000
Rh 3.638 1.413 3.638
Rh 3.638 3.638 8.753
S 1.810 8.355 5.083
S 7.839 0.000 7.839
Rh 1.413 6.527 6.527
Rh 0.000 0.000 2.104
Rh 1.413 3.638 3.638
S 8.355 1.810 5.083
S 8.355 5.083 8.355
S 0.000 7.839 7.839
Rh 8.753 6.527 3.638
S 1.810 1.810 5.083
Rh 6.527 8.753 6.527
Ag 5.083 0.000 0.000
Rh 6.527 1.413 6.527
Rh 6.527 6.527 8.753
S 2.327 0.000 7.839
Rh 3.638 3.638 1.413
S 2.542 5.083 5.083
Rh 3.638 1.413 6.527
S 5.083 8.355 1.810
Rh 6.527 6.527 1.413
S 7.839 0.000 2.327
Rh 0.000 0.000 8.061
S 0.000 2.327 7.839
S 8.355 8.355 5.083
Rh 0.000 8.061 0.000
S 0.000 2.327 2.327
Rh 1.413 3.638 6.527
S 1.810 5.083 1.810
Rh 3.638 6.527 1.413
S 5.083 5.083 2.542
Rh 8.753 3.638 3.638
Rh 8.061 0.000 0.000
Rh 8.753 3.638 6.527
S 5.083 2.542 5.083
Rh 1.413 6.527 3.638
Rh 3.638 6.527 8.753
Rh 6.527 3.638 8.753
Ag 5.083 5.083 5.083
S 5.083 7.623 5.083
S 2.327 2.327 0.000
S 5.083 5.083 7.623
Ag 0.000 5.083 0.000
Rh 3.638 8.753 3.638
S 7.623 5.083 5.083
```

Output
Energy of formation (kJ/mol of formula units): -1789.7
Total magnetization (μB per cell): 0.035

# 12
A relaxed KZnBr3O2 crystal. Source: the Materials Project database, functional PBE.

```
28
Lattice="14.600 0.000 0.000 0.000 7.070 0.000 0.000 2.523 8.444" Properties=species:S:1:pos:R:3 pbc="T T T"
Br 1.562 5.590 3.297
Br 6.568 3.133 5.042
K 4.578 6.801 4.510
O 6.198 0.485 0.431
Zn 8.078 0.503 1.333
O 13.499 7.847 3.791
Br 5.739 6.851 7.519
Zn 0.777 7.829 2.889
K 2.722 5.540 0.288
Zn 13.823 1.764 5.555
Br 13.039 4.003 5.147
Br 8.032 6.460 3.402
Br 0.732 1.872 0.820
O 10.737 2.033 6.444
Br 2.462 2.775 5.237
O 11.163 0.772 2.222
O 1.102 1.747 4.653
Zn 6.523 9.091 7.111
K 11.878 4.053 8.156
O 3.863 7.560 2.000
Br 9.762 8.079 7.429
K 10.022 2.792 3.934
O 3.437 8.821 6.222
Br 4.838 1.514 1.015
Br 12.138 6.818 3.207
O 8.402 9.108 8.013
Br 8.862 2.742 0.925
Br 13.868 7.721 7.624
```

Output
Energy of formation (kJ/mol of formula units): -659.8
Total magnetization (μB per cell): 0.001
Distance to the lowest polymorph of the same formula (meV per atom): 0